A plane-wave DFT calculation with PBE was carried out for a relaxed ZnCu2PO8 crystal.

POSCAR file:
```
ZnCu2PO8
1.0
8.850 0.000 0.000
0.000 6.859 0.000
0.000 1.212 10.221
Zn Cu P O
4 8 4 32
direct
0.554 0.935 0.710
0.054 0.065 0.790
0.446 0.065 0.290
0.946 0.935 0.210
0.579 0.501 0.618
0.079 0.499 0.882
0.421 0.499 0.382
0.921 0.501 0.118
0.723 0.519 0.862
0.223 0.481 0.638
0.277 0.481 0.138
0.777 0.519 0.362
0.739 0.911 0.442
0.239 0.089 0.058
0.261 0.089 0.558
0.761 0.911 0.942
0.562 0.639 0.762
0.062 0.361 0.738
0.438 0.361 0.238
0.938 0.639 0.262
0.741 0.398 0.713
0.241 0.602 0.787
0.259 0.602 0.287
0.759 0.398 0.213
0.602 0.400 0.455
0.102 0.600 0.045
0.398 0.600 0.545
0.898 0.400 0.955
0.692 0.006 0.562
0.192 0.994 0.938
0.308 0.994 0.438
0.808 0.006 0.062
0.627 0.028 0.872
0.127 0.972 0.628
0.373 0.972 0.128
0.873 0.028 0.372
0.793 0.693 0.490
0.293 0.307 0.010
0.207 0.307 0.510
0.707 0.693 0.990
0.388 0.111 0.659
0.888 0.889 0.841
0.612 0.889 0.341
0.112 0.111 0.159
0.600 0.299 0.964
0.100 0.701 0.536
0.400 0.701 0.036
0.900 0.299 0.464
```

Properties
- Spin magnetization: 3.0 μB/f.u.
- Final energy: -5.307 eV/atom
- Volume: 12.93 Å³ per atom
- Symmetry: P2_1/c